CsMg14B (PBE, optimized geometry); formation enthalpy at 0 K = 0.363 eV per atom; total energy = -1.510 eV per atom; V = 382.99 Å³ per cell; SG = No. 187; polymorph energy (0 for the lowest one) = 60 meV per atom
1.0
-2.699 2.376 -5.276
4.537 -4.468 -0.469
-7.586 -7.744 0.393
Mg Cs B
14 1 1
Cartesian
-7.879 -5.280 -4.188 Mg
-4.283 -8.676 -1.716 Mg
1.050 -3.123 -3.849 Mg
-1.000 -5.325 -1.886 Mg
-1.250 -0.859 -3.611 Mg
-3.214 -3.144 -1.657 Mg
-4.992 -4.783 -3.463 Mg
-2.800 -6.941 -3.690 Mg
2.381 -4.295 -1.247 Mg
-5.926 -7.840 -4.362 Mg
-2.005 -3.838 -4.566 Mg
-4.596 -1.928 -4.359 Mg
-6.497 -6.496 -1.487 Mg
-1.405 -8.169 -0.962 Mg
0.114 -2.061 -0.987 Cs
-3.678 -5.933 -0.790 B



HoZnBi2O6 (PBE, optimized geometry); formation enthalpy at 0 K = -2.140 eV per atom; total energy = -6.059 eV per atom; V = 306.66 Å³ per cell; SG = No. 31
1.0
5.602 0.000 0.000
0.000 6.386 0.000
0.000 0.000 8.573
Bi O Zn Ho
4 12 2 2
Cartesian
0.042 1.393 2.078 Bi
2.843 4.992 2.208 Bi
0.042 1.393 6.494 Bi
2.843 4.992 6.365 Bi
4.480 3.373 2.846 O
0.853 1.649 4.286 O
3.636 0.647 2.732 O
4.480 3.373 5.727 O
0.835 5.738 7.019 O
3.654 4.737 0.000 O
3.636 0.647 5.841 O
4.817 2.054 0.000 O
1.679 3.012 7.132 O
1.679 3.012 1.440 O
0.835 5.738 1.554 O
2.017 4.332 4.286 O
0.179 3.765 4.286 Zn
2.980 2.621 0.000 Zn
0.235 4.248 0.000 Ho
3.036 2.138 4.286 Ho



Among the records above, which one has the highest V?
CsMg14B